Ge3Mo5N9 (GGA-PBE, optimized geometry); DFT formation energy = 1.98 eV/f.u.; E (MP2020) = -564.599 eV/cell; spin magnetization = 0.0 μB/cell
1.0
-2.359 -6.984 0.712
9.595 6.151 0.623
-2.409 2.292 14.492
Ge Mo N
12 20 36
Direct
0.000 0.761 0.038
0.000 0.239 0.962
0.000 0.739 0.538
0.000 0.261 0.462
0.000 0.274 0.732
0.000 0.726 0.268
0.000 0.226 0.232
0.000 0.774 0.768
0.500 0.812 0.750
0.500 0.688 0.250
0.500 0.188 0.250
0.500 0.312 0.750
0.000 0.523 0.861
0.000 0.477 0.139
0.000 0.977 0.361
0.000 0.023 0.639
0.429 0.022 0.892
0.429 0.406 0.108
0.429 0.906 0.392
0.429 0.522 0.608
0.571 0.978 0.108
0.571 0.594 0.892
0.571 0.094 0.608
0.571 0.478 0.392
0.000 0.436 0.610
0.000 0.564 0.390
0.000 0.064 0.110
0.000 0.936 0.890
0.604 0.302 0.000
0.604 0.802 0.500
0.396 0.698 0.000
0.396 0.198 0.500
0.000 0.521 0.717
0.000 0.479 0.283
0.000 0.979 0.217
0.000 0.021 0.783
0.000 0.316 0.851
0.000 0.684 0.149
0.000 0.184 0.351
0.000 0.816 0.649
0.000 0.607 0.982
0.000 0.393 0.018
0.000 0.893 0.482
0.000 0.107 0.518
0.717 0.532 0.816
0.717 0.185 0.184
0.717 0.685 0.316
0.717 0.032 0.684
0.283 0.468 0.184
0.283 0.815 0.816
0.283 0.315 0.684
0.283 0.968 0.316
0.583 0.254 0.854
0.583 0.329 0.146
0.583 0.829 0.354
0.583 0.754 0.646
0.417 0.746 0.146
0.417 0.671 0.854
0.417 0.171 0.646
0.417 0.246 0.354
0.359 0.020 0.027
0.359 0.339 0.973
0.359 0.839 0.527
0.359 0.520 0.473
0.641 0.980 0.973
0.641 0.661 0.027
0.641 0.161 0.473
0.641 0.480 0.527


Al2O3 (GGA-PBE, optimized geometry); DFT formation energy = -16.74 eV/f.u.; piezoelectric modulus e_max = 0.6 C/m²; E (MP2020) = -195.370 eV/cell
1.0
5.602 0.000 0.000
-2.796 4.891 0.000
-1.561 -1.322 9.157
Al O
10 15
Direct
0.586 0.255 0.122
0.921 0.001 0.015
0.927 0.952 0.313
0.470 0.467 0.329
0.754 0.870 0.631
0.336 0.433 0.824
0.395 0.173 0.558
0.026 0.518 0.495
0.846 0.439 0.826
0.331 0.916 0.821
0.788 0.101 0.170
0.175 0.319 0.430
0.256 0.145 0.182
0.719 0.601 0.204
0.660 0.815 0.434
0.138 0.073 0.691
0.598 0.526 0.691
0.153 0.846 0.438
0.656 0.329 0.443
0.045 0.794 0.924
0.116 0.562 0.696
0.601 0.067 0.689
0.544 0.279 0.927
0.549 0.788 0.914
0.050 0.301 0.922


NaCu2H2Se2O10 (GGA-PBE, optimized geometry); DFT formation energy = -20.26 eV/f.u.; E (MP2020) = -93.040 eV/cell; spin magnetization = 1.0 μB/cell
1.0
3.181 4.710 0.000
-3.181 4.710 0.000
0.000 4.078 6.797
Na Cu H Se O
1 2 2 2 10
Direct
0.500 0.500 0.500
0.000 0.500 0.000
0.500 0.000 0.000
0.711 0.711 0.796
0.289 0.289 0.204
0.084 0.084 0.701
0.916 0.916 0.299
0.183 0.183 0.826
0.817 0.817 0.174
0.227 0.227 0.464
0.773 0.773 0.536
0.744 0.185 0.752
0.185 0.744 0.752
0.256 0.815 0.248
0.815 0.256 0.248
0.676 0.676 0.938
0.324 0.324 0.062


Please write out number 1 again, unchanged.
Ge3Mo5N9 (GGA-PBE, optimized geometry); DFT formation energy = 1.98 eV/f.u.; E (MP2020) = -564.599 eV/cell; spin magnetization = 0.0 μB/cell
1.0
-2.359 -6.984 0.712
9.595 6.151 0.623
-2.409 2.292 14.492
Ge Mo N
12 20 36
Direct
0.000 0.761 0.038
0.000 0.239 0.962
0.000 0.739 0.538
0.000 0.261 0.462
0.000 0.274 0.732
0.000 0.726 0.268
0.000 0.226 0.232
0.000 0.774 0.768
0.500 0.812 0.750
0.500 0.688 0.250
0.500 0.188 0.250
0.500 0.312 0.750
0.000 0.523 0.861
0.000 0.477 0.139
0.000 0.977 0.361
0.000 0.023 0.639
0.429 0.022 0.892
0.429 0.406 0.108
0.429 0.906 0.392
0.429 0.522 0.608
0.571 0.978 0.108
0.571 0.594 0.892
0.571 0.094 0.608
0.571 0.478 0.392
0.000 0.436 0.610
0.000 0.564 0.390
0.000 0.064 0.110
0.000 0.936 0.890
0.604 0.302 0.000
0.604 0.802 0.500
0.396 0.698 0.000
0.396 0.198 0.500
0.000 0.521 0.717
0.000 0.479 0.283
0.000 0.979 0.217
0.000 0.021 0.783
0.000 0.316 0.851
0.000 0.684 0.149
0.000 0.184 0.351
0.000 0.816 0.649
0.000 0.607 0.982
0.000 0.393 0.018
0.000 0.893 0.482
0.000 0.107 0.518
0.717 0.532 0.816
0.717 0.185 0.184
0.717 0.685 0.316
0.717 0.032 0.684
0.283 0.468 0.184
0.283 0.815 0.816
0.283 0.315 0.684
0.283 0.968 0.316
0.583 0.254 0.854
0.583 0.329 0.146
0.583 0.829 0.354
0.583 0.754 0.646
0.417 0.746 0.146
0.417 0.671 0.854
0.417 0.171 0.646
0.417 0.246 0.354
0.359 0.020 0.027
0.359 0.339 0.973
0.359 0.839 0.527
0.359 0.520 0.473
0.641 0.980 0.973
0.641 0.661 0.027
0.641 0.161 0.473
0.641 0.480 0.527